210
Lattice="17.868 -0.023 0.033 -4.477 7.763 -0.003 0.041 0.015 23.197" Properties=species:S:1:pos:R:3 comment="Na6Ca4Nb20Si21S15O144 PBE optimized geometry" vol_a3_per_atom=15.3 formation_enthalpy_0k_ev_per_atom=-2.7312 pbc="T T T"
O 14.023 4.111 0.620
O 7.395 4.908 8.395
O 5.264 1.209 16.979
O 12.786 6.042 13.550
O 6.364 7.415 4.500
O 7.061 0.447 18.726
O 3.446 3.824 14.848
O 5.534 6.306 16.199
O 11.823 2.785 9.894
O 9.529 6.659 1.656
O -1.619 4.948 1.714
O 3.874 3.994 12.234
O 0.966 1.337 2.338
O 5.186 5.975 18.599
O 15.079 2.757 14.847
O 13.957 1.043 3.256
O 7.829 1.410 7.017
O 14.324 1.330 0.637
O 0.956 6.409 17.595
O 12.394 3.934 14.723
O 11.760 2.594 17.100
O -1.459 5.229 10.957
O 10.503 5.329 5.985
O 5.473 3.839 9.850
O 9.508 1.531 9.400
O 0.996 6.509 10.998
O 9.636 3.655 17.541
O 9.652 6.769 8.513
O 1.684 5.268 22.508
O 16.731 1.485 7.025
O 12.455 6.511 4.514
O -0.623 3.699 22.607
O 0.531 6.695 8.378
O 11.776 2.472 0.690
O 14.027 6.265 2.216
O 12.472 6.393 21.002
O 12.861 1.091 14.863
O 10.586 0.158 13.972
O 9.979 3.930 8.367
O 8.072 6.533 6.332
O 7.144 0.275 1.898
O -0.506 6.861 13.376
O 4.991 1.122 9.872
O 1.820 0.217 13.575
O 10.609 5.365 22.620
O -0.915 6.462 22.556
O -1.001 4.006 13.273
O 10.662 4.876 13.339
O 3.565 1.224 12.289
O 0.703 1.690 9.657
O 15.026 2.806 21.443
O 6.291 7.505 21.240
O 0.593 6.784 1.675
O -0.554 1.525 21.037
O 3.647 1.139 5.480
O 10.115 3.873 1.758
O 8.390 6.669 13.270
O 0.812 3.689 10.963
O -0.544 6.695 19.937
O 9.999 1.451 1.917
O 6.122 2.344 12.199
O 8.154 1.757 4.605
O 8.373 1.536 21.433
O 10.528 0.235 7.167
O 5.339 1.158 0.639
O 5.054 6.269 1.719
O 5.222 4.062 17.158
O 1.007 3.939 1.637
O 14.393 3.747 9.893
O -1.671 5.256 17.706
O -2.834 7.544 20.884
O 3.140 6.266 4.501
O 2.912 2.830 3.240
O 13.938 0.950 9.857
O -0.910 3.932 19.951
O 16.946 1.284 13.408
O 11.521 7.398 16.140
O 14.890 2.483 12.258
O 14.095 4.106 17.372
O 1.735 4.994 20.071
O 3.871 6.257 7.152
O 9.739 6.556 17.931
O 16.315 0.210 18.765
O 14.120 6.140 18.646
O 1.964 0.354 6.969
O 14.315 1.381 17.311
O 3.903 6.195 13.793
O 12.437 3.749 21.449
O 0.788 1.818 16.251
O 2.912 7.573 16.094
O 1.124 1.408 18.647
O 7.336 5.330 11.040
O -0.695 3.657 5.922
O 6.000 2.873 21.462
O 8.281 3.879 22.570
O 16.236 0.253 2.187
O 11.689 2.733 3.121
O 7.955 3.870 19.981
O 7.994 1.274 13.801
O 14.359 3.798 3.246
O 2.827 2.327 0.619
O 3.792 1.045 14.716
O 8.074 6.609 22.560
O -2.696 7.594 4.581
O 1.062 3.819 8.522
O 12.532 1.328 5.721
O 5.450 3.948 3.233
O 9.693 1.632 16.203
O 1.580 5.163 6.331
O -3.257 6.241 16.214
O 12.654 4.054 12.280
O 0.821 3.667 17.771
O 7.272 5.286 17.526
O 8.316 6.744 20.122
O -0.970 6.529 5.912
O 5.486 6.467 9.524
O 7.390 4.885 1.696
O 2.808 2.884 9.859
O 5.135 3.886 0.644
O 3.450 6.273 21.252
O -0.701 1.648 4.585
O 2.830 7.631 9.350
O 8.119 3.649 6.066
O 6.052 2.782 14.816
O -3.425 6.492 9.831
O 12.372 1.292 12.246
O 1.606 4.954 13.263
O 12.862 5.897 7.134
O 12.861 0.971 21.449
O 10.240 1.519 18.584
O 10.548 4.876 19.979
O 7.954 3.890 13.352
O 15.087 2.475 5.605
O 3.336 3.856 21.401
O 5.124 0.978 3.087
O 12.671 3.985 5.376
O 9.598 3.747 11.000
O -1.636 4.943 8.364
O 6.080 2.401 5.719
O 3.886 1.126 21.433
O 11.611 7.602 9.723
O 9.845 6.572 10.952
O 3.864 3.970 5.684
O 2.863 2.466 17.364
Nb 13.392 2.499 4.424
Nb 4.382 7.690 14.827
Nb 0.010 5.240 12.157
Nb 8.845 5.106 12.171
Nb 13.562 2.681 22.718
Nb 8.961 5.126 0.612
Nb 4.464 2.583 22.703
Nb 13.284 7.688 3.245
Nb 4.563 7.678 8.365
Nb 0.014 5.283 18.833
Nb 4.459 2.795 4.319
Nb 9.002 5.088 18.912
Nb 8.993 5.117 7.165
Nb 17.795 0.004 20.014
Nb 4.516 2.603 15.898
Nb 4.616 2.642 11.053
Nb -0.054 5.276 7.282
Nb 13.574 2.468 15.899
Nb -0.123 5.115 0.587
Nb 13.379 2.540 11.087
S 2.546 5.138 21.323
S 10.174 7.373 9.753
S 7.593 2.249 5.835
S 5.696 0.364 1.873
S -1.285 2.300 5.781
S 3.250 0.401 13.471
S 1.364 2.304 17.484
S 7.738 7.381 21.353
S 1.309 3.012 9.745
S 10.311 2.302 17.358
S 12.130 4.744 13.495
S 2.672 0.032 5.740
S 14.720 5.469 17.472
S 5.807 5.472 17.389
S 10.886 2.589 1.886
Si 11.504 5.093 21.322
Si 12.155 0.340 13.538
Si 1.905 2.604 1.938
Si 14.645 4.766 2.012
Si 7.044 2.571 13.528
Si 7.661 2.950 21.361
Si 12.139 5.490 5.801
Si 7.052 7.739 5.866
Si 16.039 2.574 13.431
Si 10.799 7.742 17.480
Si 6.458 5.168 9.659
Si -1.211 3.018 21.252
Si 3.173 4.735 13.509
Si 6.361 0.014 17.388
Si -1.250 7.411 21.274
Si -2.571 5.162 9.732
Si 3.139 5.527 5.876
Si 10.203 2.974 9.671
Si 14.607 0.361 1.940
Si 5.752 4.867 1.835
Si 1.274 7.424 9.686
Ca 4.478 7.594 3.449
Ca 13.451 7.607 8.266
Ca 17.766 0.029 15.029
Ca 8.859 0.122 19.847
Na 13.417 2.578 19.383
Na 8.925 0.004 0.044
Na 4.506 2.588 7.731
Na 13.398 7.725 11.610
Na 13.319 2.704 7.780
Na 4.607 2.475 19.425